(1)
CoPH8C3N3O7 | GGA+U | optimized geometry

Calculated values
Formation energy   -25.1 eV per formula unit
Calculated total energy   -582.618 eV for the cell shown
Size of the total moment   12.00 μB per cell

Lattice parameters (Å, degrees): 7.4895 8.9400 15.6453 101.49 90.00 90.00
Closest atoms and distances in Å follow each position.
Fractional positions:
Co 0.9734 0.2881 0.6051  6 O 2.06-2.14
Co 0.5266 0.7881 0.1051  6 O 2.06-2.14
Co 0.0266 0.7119 0.3949  6 O 2.06-2.14
Co 0.4734 0.2119 0.8949  6 O 2.06-2.14
P 0.6226 0.3680 0.7344  1 H 1.41, 2 O 1.52-1.54
P 0.8774 0.8680 0.2344  1 H 1.41, 2 O 1.52-1.54
P 0.3774 0.6320 0.2656  1 H 1.41, 2 O 1.52-1.54
P 0.1226 0.1320 0.7656  1 H 1.41, 2 O 1.52-1.54
H 0.5572 0.5041 0.7863  1 P 1.41
H 0.9428 0.0041 0.2863  1 P 1.41
H 0.4428 0.4959 0.2137  1 P 1.41
H 0.0572 0.9959 0.7137  1 P 1.41
H 0.3538 0.2882 0.6815  1 O 1.01
H 0.1462 0.7882 0.1815  1 O 1.01
H 0.6462 0.7118 0.3185  1 O 1.01
H 0.8538 0.2118 0.8185  1 O 1.01
H 0.6274 0.7702 0.5262  1 N 1.02
H 0.8726 0.2702 0.0262  1 N 1.02
H 0.3726 0.2298 0.4738  1 N 1.02
H 0.1274 0.7298 0.9738  1 N 1.02
H 0.4220 0.6741 0.5271  1 N 1.02
H 0.0780 0.1741 0.0271  1 N 1.02
H 0.5780 0.3259 0.4729  1 N 1.02
H 0.9220 0.8259 0.9729  1 N 1.02
H 0.6856 0.9701 0.6435  1 N 1.03
H 0.8144 0.4701 0.1435  1 N 1.03
H 0.3144 0.0299 0.3565  1 N 1.03
H 0.1856 0.5299 0.8565  1 N 1.03
H 0.5698 0.9792 0.7402  1 N 1.02
H 0.9302 0.4792 0.2402  1 N 1.02
H 0.4302 0.0208 0.2598  1 N 1.02
H 0.0698 0.5208 0.7598  1 N 1.02
H 0.3342 0.8199 0.7488  1 N 1.01
H 0.1658 0.3199 0.2488  1 N 1.01
H 0.6658 0.1801 0.2512  1 N 1.01
H 0.8342 0.6801 0.7512  1 N 1.01
H 0.2843 0.6676 0.6622  1 N 1.02
H 0.2157 0.1676 0.1622  1 N 1.02
H 0.7157 0.3324 0.3378  1 N 1.02
H 0.7843 0.8324 0.8378  1 N 1.02
C 0.0862 0.0245 0.4794  2 O 1.27
C 0.4138 0.5245 0.9794  2 O 1.27
C 0.9138 0.9755 0.5206  2 O 1.27
C 0.5862 0.4755 0.0206  2 O 1.27
C 0.0747 0.5420 0.5298  2 O 1.27
C 0.4253 0.0420 0.0298  2 O 1.27
C 0.9253 0.4580 0.4702  2 O 1.27
C 0.5747 0.9580 0.9702  2 O 1.27
C 0.4977 0.8028 0.6432  3 N 1.34
C 0.0023 0.3028 0.1432  3 N 1.34
C 0.5023 0.1972 0.3568  3 N 1.34
C 0.9977 0.6972 0.8568  3 N 1.34
N 0.5259 0.7325 0.5604  2 H 1.02
N 0.9741 0.2325 0.0604  2 H 1.02
N 0.4741 0.2675 0.4396  2 H 1.02
N 0.0259 0.7675 0.9396  2 H 1.02
N 0.6070 0.9152 0.6817  2 H 1.02-1.03
N 0.8930 0.4152 0.1817  2 H 1.02-1.03
N 0.3930 0.0848 0.3183  2 H 1.02-1.03
N 0.1070 0.5848 0.8183  2 H 1.02-1.03
N 0.3658 0.7559 0.6896  2 H 1.01-1.02
N 0.1342 0.2559 0.1896  2 H 1.01-1.02
N 0.6342 0.2441 0.3104  2 H 1.01-1.02
N 0.8658 0.7441 0.8104  2 H 1.01-1.02
O 0.4758 0.3162 0.6617  1 H 1.01
O 0.0242 0.8162 0.1617  1 H 1.01
O 0.5242 0.6838 0.3383  1 H 1.01
O 0.9758 0.1838 0.8383  1 H 1.01
O 0.6459 0.2510 0.7937  1 P 1.54, 1 H 1.66
O 0.8541 0.7510 0.2937  1 P 1.54, 1 H 1.66
O 0.3541 0.7490 0.2063  1 P 1.54, 1 H 1.66
O 0.1459 0.2490 0.7063  1 P 1.54, 1 H 1.66
O 0.7916 0.4082 0.6906  1 P 1.52
O 0.7084 0.9082 0.1906  1 P 1.52
O 0.2084 0.5918 0.3094  1 P 1.52
O 0.2916 0.0918 0.8094  1 P 1.52
O 0.1467 0.1564 0.5105  1 C 1.27
O 0.3533 0.6564 0.0105  1 C 1.27
O 0.8533 0.8436 0.4895  1 C 1.27
O 0.6467 0.3436 0.9895  1 C 1.27
O 0.1541 0.9295 0.4165  1 C 1.27
O 0.3459 0.4295 0.9165  1 C 1.27
O 0.8459 0.0705 0.5835  1 C 1.27
O 0.6541 0.5705 0.0835  1 C 1.27
O 0.1100 0.4960 0.5998  1 C 1.27
O 0.3900 0.9960 0.0998  1 C 1.27
O 0.8900 0.5040 0.4002  1 C 1.27
O 0.6100 0.0040 0.9002  1 C 1.27
O 0.1518 0.6519 0.5047  1 C 1.27
O 0.3482 0.1519 0.0047  1 C 1.27
O 0.8482 0.3481 0.4953  1 C 1.27
O 0.6518 0.8481 0.9953  1 C 1.27

=====

(2)
CoH24C2S2N6O14 | GGA+U | optimized geometry

Calculated values
Formation energy   -51.0 eV per formula unit
Calculated total energy   -548.587 eV for the cell shown
Size of the total moment   5.99 μB per cell

Lattice parameters (Å, degrees): 7.7171 10.0663 12.0508 82.65 90.00 90.00
Closest atoms and distances in Å follow each position.
Fractional positions:
Co 0.0000 0.5000 0.0000  6 O 2.04-2.12
Co 0.5000 0.5000 0.5000  6 O 2.04-2.12
H 0.3353 0.5139 0.0357  1 O 0.99
H 0.8353 0.4861 0.4643  1 O 0.99
H 0.6647 0.4861 0.9643  1 O 0.99
H 0.1647 0.5139 0.5357  1 O 0.99
H 0.3120 0.3901 0.9644  1 O 0.99
H 0.8120 0.6099 0.5356  1 O 0.99
H 0.6880 0.6099 0.0356  1 O 0.99
H 0.1880 0.3901 0.4644  1 O 0.99
H 0.9901 0.4841 0.2316  1 O 0.99
H 0.4901 0.5159 0.2684  1 O 0.99
H 0.0099 0.5159 0.7684  1 O 0.99
H 0.5099 0.4841 0.7316  1 O 0.99
H 0.1594 0.5628 0.1819  1 O 0.98
H 0.6594 0.4372 0.3181  1 O 0.98
H 0.8406 0.4372 0.8181  1 O 0.98
H 0.3406 0.5628 0.6819  1 O 0.98
H 0.0449 0.7283 0.8699  1 O 1.00
H 0.5449 0.2717 0.6301  1 O 1.00
H 0.9551 0.2717 0.1301  1 O 1.00
H 0.4551 0.7283 0.3699  1 O 1.00
H 0.1305 0.7378 0.9887  1 O 0.99
H 0.6305 0.2622 0.5113  1 O 0.99
H 0.8695 0.2622 0.0113  1 O 0.99
H 0.3695 0.7378 0.4887  1 O 0.99
H 0.2120 0.8779 0.2800  1 N 1.02
H 0.7120 0.1221 0.2200  1 N 1.02
H 0.7880 0.1221 0.7200  1 N 1.02
H 0.2880 0.8779 0.7800  1 N 1.02
H 0.1071 0.8691 0.4089  1 N 1.02
H 0.6071 0.1309 0.0911  1 N 1.02
H 0.8929 0.1309 0.5911  1 N 1.02
H 0.3929 0.8691 0.9089  1 N 1.02
H 0.8279 0.8537 0.1236  1 N 1.02
H 0.3279 0.1463 0.3764  1 N 1.02
H 0.1721 0.1463 0.8764  1 N 1.02
H 0.6721 0.8537 0.6236  1 N 1.02
H 0.0510 0.8778 0.1174  1 N 1.02
H 0.5510 0.1222 0.3826  1 N 1.02
H 0.9490 0.1222 0.8826  1 N 1.02
H 0.4490 0.8778 0.6174  1 N 1.02
H 0.8088 0.8319 0.4172  1 N 1.02
H 0.3088 0.1681 0.0828  1 N 1.02
H 0.1912 0.1681 0.5828  1 N 1.02
H 0.6912 0.8319 0.9172  1 N 1.02
H 0.6839 0.8453 0.2940  1 N 1.02
H 0.1839 0.1547 0.2060  1 N 1.02
H 0.3161 0.1547 0.7060  1 N 1.02
H 0.8161 0.8453 0.7940  1 N 1.02
C 0.9460 0.8707 0.2722  3 N 1.33-1.35
C 0.4460 0.1293 0.2278  3 N 1.33-1.35
C 0.0540 0.1293 0.7278  3 N 1.33-1.35
C 0.5540 0.8707 0.7722  3 N 1.33-1.35
S 0.5626 0.2455 0.8710  4 O 1.49-1.51
S 0.0626 0.7545 0.6290  4 O 1.49-1.51
S 0.4374 0.7545 0.1290  4 O 1.49-1.51
S 0.9374 0.2455 0.3710  4 O 1.49-1.51
N 0.0985 0.8765 0.3236  2 H 1.02
N 0.5985 0.1235 0.1764  2 H 1.02
N 0.9015 0.1235 0.6764  2 H 1.02
N 0.4015 0.8765 0.8236  2 H 1.02
N 0.9376 0.8859 0.1594  2 H 1.02
N 0.4376 0.1141 0.3406  2 H 1.02
N 0.0624 0.1141 0.8406  2 H 1.02
N 0.5624 0.8859 0.6594  2 H 1.02
N 0.8004 0.8556 0.3323  2 H 1.02
N 0.3004 0.1444 0.1677  2 H 1.02
N 0.1996 0.1444 0.6677  2 H 1.02
N 0.6996 0.8556 0.8323  2 H 1.02
O 0.2660 0.4787 0.9772  2 H 0.99
O 0.7660 0.5213 0.5228  2 H 0.99
O 0.7340 0.5213 0.0228  2 H 0.99
O 0.2340 0.4787 0.4772  2 H 0.99
O 0.0380 0.5422 0.1658  2 H 0.98-0.99
O 0.5380 0.4578 0.3342  2 H 0.98-0.99
O 0.9620 0.4578 0.8342  2 H 0.98-0.99
O 0.4620 0.5422 0.6658  2 H 0.98-0.99
O 0.0308 0.6998 0.9517  2 H 0.99-1.00
O 0.5308 0.3002 0.5483  2 H 0.99-1.00
O 0.9692 0.3002 0.0483  2 H 0.99-1.00
O 0.4692 0.6998 0.4517  2 H 0.99-1.00
O 0.3933 0.2323 0.9316  1 S 1.49
O 0.8933 0.7677 0.5684  1 S 1.49
O 0.6067 0.7677 0.0684  1 S 1.49
O 0.1067 0.2323 0.4316  1 S 1.49
O 0.5477 0.1871 0.7636  1 S 1.49
O 0.0477 0.8129 0.7364  1 S 1.49
O 0.4523 0.8129 0.2364  1 S 1.49
O 0.9523 0.1871 0.2636  1 S 1.49
O 0.7016 0.1748 0.9420  1 S 1.49
O 0.2016 0.8252 0.5580  1 S 1.49
O 0.2984 0.8252 0.0580  1 S 1.49
O 0.7984 0.1748 0.4420  1 S 1.49
O 0.6091 0.3916 0.8458  1 S 1.51
O 0.1091 0.6084 0.6542  1 S 1.51
O 0.3909 0.6084 0.1542  1 S 1.51
O 0.8909 0.3916 0.3458  1 S 1.51